{
  "formula": "MgMn3CrO8",
  "functional": "PBE+U",
  "state": "relaxed",
  "e_tot_ev_per_atom": -7.1911,
  "polymorph_energy_kj_per_mol_atoms": 0.0,
  "delta_e_f_ev_per_atom": -2.1278,
  "magmom_total_mub_per_atom": 0.077,
  "cell": [[5.847, 0.000, 0.000], [-0.027, 5.918, 0.000], [-2.906, -2.868, 4.312]],
  "species": ["Mg", "Mn", "Mn", "Mn", "Cr", "O", "O", "O", "O", "O", "O", "O", "O"],
  "frac_coords": [[0.000, 0.000, 0.000], [0.122, 0.372, 0.736], [0.612, 0.372, 0.736], [0.614, 0.866, 0.228], [0.615, 0.376, 0.231], [0.357, 0.571, 0.715], [0.363, 0.600, 0.178], [0.380, 0.169, 0.764], [0.409, 0.135, 0.274], [0.814, 0.601, 0.176], [0.854, 0.586, 0.708], [0.862, 0.136, 0.273], [0.869, 0.155, 0.742]]
}

---

{
  "formula": "TbVSe2O8",
  "functional": "PBE+U",
  "state": "relaxed",
  "e_tot_ev_per_atom": -6.6060,
  "delta_e_f_ev_per_atom": -2.1812,
  "magmom_total_mub_per_atom": 0.000,
  "cell": [[6.791, 0.000, 0.000], [0.000, 7.045, 0.000], [-0.302, 0.000, 13.577]],
  "species": ["Tb", "Tb", "Tb", "Tb", "V", "V", "V", "V", "Se", "Se", "Se", "Se", "Se", "Se", "Se", "Se", "O", "O", "O", "O", "O", "O", "O", "O", "O", "O", "O", "O", "O", "O", "O", "O", "O", "O", "O", "O", "O", "O", "O", "O", "O", "O", "O", "O", "O", "O", "O", "O"],
  "frac_coords": [[0.078, 0.250, 0.068], [0.375, 0.750, 0.135], [0.625, 0.250, 0.865], [0.922, 0.750, 0.932], [0.373, 0.009, 0.615], [0.373, 0.491, 0.615], [0.627, 0.509, 0.385], [0.627, 0.991, 0.385], [0.041, 0.250, 0.349], [0.108, 0.250, 0.840], [0.205, 0.750, 0.406], [0.452, 0.750, 0.862], [0.548, 0.250, 0.138], [0.795, 0.250, 0.594], [0.892, 0.750, 0.160], [0.959, 0.750, 0.651], [0.019, 0.750, 0.772], [0.026, 0.577, 0.097], [0.026, 0.923, 0.097], [0.091, 0.554, 0.606], [0.091, 0.946, 0.606], [0.212, 0.750, 0.281], [0.291, 0.750, 0.960], [0.300, 0.250, 0.572], [0.309, 0.250, 0.920], [0.360, 0.554, 0.437], [0.360, 0.946, 0.437], [0.375, 0.074, 0.108], [0.375, 0.426, 0.108], [0.413, 0.063, 0.733], [0.413, 0.437, 0.733], [0.423, 0.750, 0.617], [0.577, 0.250, 0.383], [0.587, 0.563, 0.267], [0.587, 0.937, 0.267], [0.625, 0.574, 0.892], [0.625, 0.926, 0.892], [0.640, 0.054, 0.563], [0.640, 0.446, 0.563], [0.691, 0.750, 0.080], [0.700, 0.750, 0.428], [0.709, 0.250, 0.040], [0.788, 0.250, 0.719], [0.909, 0.054, 0.394], [0.909, 0.446, 0.394], [0.974, 0.077, 0.903], [0.974, 0.423, 0.903], [0.981, 0.250, 0.228]]
}

---

{
  "formula": "Li3Fe8B8O24",
  "functional": "PBE+U",
  "state": "relaxed",
  "e_tot_ev_per_atom": -7.1569,
  "polymorph_energy_kj_per_mol_atoms": 0.8,
  "delta_e_f_ev_per_atom": -2.2467,
  "magmom_total_mub_per_atom": 0.860,
  "cell": [[5.235, 0.000, 0.000], [0.094, 9.129, 0.000], [2.607, 4.463, 10.127]],
  "species": ["Li", "Li", "Li", "Fe", "Fe", "Fe", "Fe", "Fe", "Fe", "Fe", "Fe", "B", "B", "B", "B", "B", "B", "B", "B", "O", "O", "O", "O", "O", "O", "O", "O", "O", "O", "O", "O", "O", "O", "O", "O", "O", "O", "O", "O", "O", "O", "O", "O"],
  "frac_coords": [[0.000, 0.000, 0.000], [0.015, 0.024, 0.263], [0.311, 0.291, 0.733], [0.025, 0.348, 0.977], [0.029, 0.703, 0.234], [0.268, 0.928, 0.482], [0.299, 0.632, 0.733], [0.509, 0.832, 0.982], [0.547, 0.221, 0.222], [0.763, 0.422, 0.479], [0.815, 0.112, 0.729], [0.008, 0.680, 0.975], [0.045, 0.372, 0.235], [0.250, 0.584, 0.489], [0.318, 0.962, 0.735], [0.514, 0.161, 0.981], [0.548, 0.892, 0.221], [0.764, 0.097, 0.470], [0.799, 0.459, 0.728], [0.025, 0.595, 0.442], [0.046, 0.447, 0.762], [0.128, 0.779, 0.019], [0.159, 0.581, 0.926], [0.183, 0.088, 0.741], [0.239, 0.865, 0.676], [0.260, 0.174, 0.967], [0.307, 0.370, 0.230], [0.317, 0.703, 0.530], [0.391, 0.992, 0.272], [0.404, 0.460, 0.500], [0.419, 0.799, 0.178], [0.531, 0.108, 0.427], [0.537, 0.924, 0.786], [0.630, 0.254, 0.032], [0.643, 0.576, 0.737], [0.668, 0.051, 0.946], [0.716, 0.346, 0.687], [0.746, 0.679, 0.983], [0.814, 0.896, 0.211], [0.821, 0.197, 0.526], [0.888, 0.471, 0.281], [0.930, 0.269, 0.191], [0.933, 0.987, 0.453]]
}

---

{
  "formula": "Li9Mn2Co5O16",
  "functional": "PBE+U",
  "state": "relaxed",
  "e_tot_ev_per_atom": -5.7047,
  "polymorph_energy_kj_per_mol_atoms": 14.5,
  "delta_e_f_ev_per_atom": -1.7142,
  "magmom_total_mub_per_atom": 0.106,
  "cell": [[5.907, 0.000, 0.000], [0.295, 5.902, 0.000], [2.869, 0.132, 8.139]],
  "species": ["Li", "Li", "Li", "Li", "Li", "Li", "Li", "Li", "Li", "Mn", "Mn", "Co", "Co", "Co", "Co", "Co", "O", "O", "O", "O", "O", "O", "O", "O", "O", "O", "O", "O", "O", "O", "O", "O"],
  "frac_coords": [[0.000, 0.000, 0.000], [0.003, 0.499, 0.001], [0.127, 0.739, 0.239], [0.255, 0.500, 0.492], [0.366, 0.256, 0.760], [0.502, 0.999, 0.001], [0.640, 0.740, 0.235], [0.756, 0.496, 0.494], [0.878, 0.253, 0.756], [0.373, 0.745, 0.750], [0.751, 0.996, 0.494], [0.125, 0.252, 0.245], [0.252, 0.999, 0.496], [0.505, 0.490, 0.001], [0.635, 0.257, 0.245], [0.874, 0.743, 0.750], [0.142, 0.534, 0.740], [0.152, 0.994, 0.731], [0.256, 0.256, 0.014], [0.273, 0.742, 0.979], [0.352, 0.016, 0.266], [0.396, 0.494, 0.248], [0.508, 0.777, 0.504], [0.522, 0.237, 0.484], [0.608, 0.507, 0.747], [0.624, 0.973, 0.735], [0.737, 0.256, 0.010], [0.758, 0.742, 0.976], [0.854, 0.000, 0.259], [0.895, 0.480, 0.249], [0.982, 0.761, 0.512], [0.991, 0.214, 0.492]]
}

---

{
  "formula": "Li9Mn2Co5O16",
  "functional": "PBE+U",
  "state": "relaxed",
  "e_tot_ev_per_atom": -5.7974,
  "polymorph_energy_kj_per_mol_atoms": 5.5,
  "delta_e_f_ev_per_atom": -1.8069,
  "magmom_total_mub_per_atom": 0.500,
  "cell": [[2.957, 0.000, 0.000], [-1.216, 4.939, 0.000], [-0.741, -1.063, 19.825]],
  "species": ["Li", "Li", "Li", "Li", "Li", "Li", "Li", "Li", "Li", "Mn", "Mn", "Co", "Co", "Co", "Co", "Co", "O", "O", "O", "O", "O", "O", "O", "O", "O", "O", "O", "O", "O", "O", "O", "O"],
  "frac_coords": [[0.000, 0.000, 0.000], [0.043, 0.294, 0.816], [0.164, 0.918, 0.441], [0.249, 0.536, 0.058], [0.418, 0.167, 0.692], [0.533, 0.791, 0.314], [0.666, 0.404, 0.941], [0.782, 0.048, 0.563], [0.928, 0.684, 0.188], [0.100, 0.608, 0.628], [0.598, 0.115, 0.120], [0.215, 0.233, 0.251], [0.365, 0.856, 0.881], [0.461, 0.478, 0.503], [0.733, 0.731, 0.753], [0.841, 0.350, 0.378], [0.031, 0.111, 0.904], [0.051, 0.466, 0.719], [0.147, 0.743, 0.536], [0.190, 0.093, 0.346], [0.214, 0.358, 0.154], [0.318, 0.704, 0.958], [0.402, 0.982, 0.788], [0.423, 0.342, 0.593], [0.490, 0.609, 0.412], [0.561, 0.976, 0.217], [0.634, 0.264, 0.038], [0.685, 0.597, 0.841], [0.779, 0.874, 0.663], [0.787, 0.220, 0.471], [0.873, 0.494, 0.282], [0.990, 0.870, 0.098]]
}

---

{
  "formula": "KNdFeBiO6",
  "functional": "PBE+U",
  "state": "relaxed",
  "e_tot_ev_per_atom": -6.1326,
  "delta_e_f_ev_per_atom": -1.9777,
  "magmom_total_mub_per_atom": 0.500,
  "cell": [[0.000, 4.082, 4.082], [4.082, 0.000, 4.082], [4.082, 4.082, 0.000]],
  "species": ["K", "Nd", "Fe", "Bi", "O", "O", "O", "O", "O", "O"],
  "frac_coords": [[0.000, 0.000, 0.000], [0.500, 0.500, 0.500], [0.750, 0.750, 0.750], [0.250, 0.250, 0.250], [0.506, 0.506, 0.994], [0.506, 0.994, 0.506], [0.506, 0.994, 0.994], [0.994, 0.506, 0.506], [0.994, 0.506, 0.994], [0.994, 0.994, 0.506]]
}